First-principles (PBE) data for a geometry-optimized Co3I structure, as listed in Materials Project.

The structure in CIF format:
```
data_Co3I
_symmetry_space_group_name_H-M 'P 63/m m c'
_symmetry_Int_Tables_number 194
_symmetry_space_group_name_Hall '-P 6c 2c'
_cell_length_a 6.3901
_cell_length_b 6.3901
_cell_length_c 3.8732
_cell_angle_alpha 90.00
_cell_angle_beta 90.00
_cell_angle_gamma 120.00
loop_
_atom_site_label
_atom_site_fract_x
_atom_site_fract_y
_atom_site_fract_z
Co1 0.1269 0.2539 0.2500
I1 0.3333 0.6667 0.7500
```

## Properties
**Electronic total energy**: -20.27 eV per formula unit
**Calculated formation energy**: 550 meV/atom

---

First-principles (PBE) data for a geometry-optimized CoI2 structure, as listed in Materials Project.

The structure in CIF format:
```
data_CoI2
_symmetry_space_group_name_H-M 'P -3 m 1'
_symmetry_Int_Tables_number 164
_symmetry_space_group_name_Hall '-P 3 2"'
_cell_length_a 3.9387
_cell_length_b 3.9387
_cell_length_c 6.6667
_cell_angle_alpha 90.00
_cell_angle_beta 90.00
_cell_angle_gamma 120.00
loop_
_atom_site_label
_atom_site_fract_x
_atom_site_fract_y
_atom_site_fract_z
Co1 0.0000 0.0000 0.0000
I1 0.3333 0.6667 0.2302
```

## Properties
**Electronic total energy**: -10.15 eV per formula unit
**Calculated formation energy**: -250 meV/atom

---

> Among the records above, which one has the highest calculated formation energy?

Co3I

---

> Number 2 is which compound?

CoI2